Record 1
A plane-wave DFT calculation with GGA-PBE was carried out for a relaxed structure of NbPb2Se2ClO8.

abc: 8.758 5.504 10.998
angles: 90.00 112.28 90.00
Space group P2_1 (No. 4)
Asymmetric unit:
Nb1 0.159 0.000 0.068
Pb1 0.192 0.994 0.483
Pb2 0.315 0.450 0.796
Se1 0.016 0.006 0.727
Se2 0.383 0.501 0.202
Cl1 0.361 0.521 0.548
O1 0.031 0.306 0.036
O2 0.061 0.231 0.631
O3 0.079 0.753 0.664
O4 0.173 0.940 0.233
O5 0.181 0.071 0.871
O6 0.325 0.715 0.071
O7 0.376 0.230 0.116
O8 0.411 0.053 0.734

## Properties
energy of formation from the pure elements	-1.81	eV per atom
E_tot	-0.2252	Ha/atom

---

Record 2
A plane-wave DFT calculation with GGA-PBE was carried out for a relaxed structure of Ca3Pd2.

abc: 9.0117 9.0117 16.9077
angles: 90.00 90.00 120.00
Space group R-3 (No. 148, hexagonal axes)
Asymmetric unit:
Ca1 0.0000 0.0000 0.0000
Ca2 0.0000 0.0000 0.2056
Ca3 0.0143 0.2612 0.5932
Pd1 0.0221 0.6088 0.5666

## Properties
energy of formation from the pure elements	-0.64	eV per atom
E_tot	-0.1439	Ha/atom

---

Record 3
A plane-wave DFT calculation with GGA-PBE was carried out for a relaxed structure of Er2TiO5.

abc: 11.633 5.267 7.524
angles: 90.00 113.74 90.00
Space group Cc (No. 9)
Asymmetric unit:
Er1 0.000 0.008 0.000
Er2 0.223 0.491 0.497
Ti1 0.361 0.005 0.257
O1 0.031 0.355 0.389
O2 0.191 0.145 0.109
O3 0.290 0.319 0.792
O4 0.361 0.170 0.495
O5 0.433 0.319 0.205

## Properties
energy of formation from the pure elements	-3.81	eV per atom
E_tot	-0.3163	Ha/atom
relative energy among the computed polymorphs	0.0858	eV per atom

---

Record 4
A plane-wave DFT calculation with GGA-PBE was carried out for a relaxed structure of Li2CuP.

abc: 4.0165 4.0165 7.3868
angles: 90.00 90.00 120.00
Space group P-3m1 (No. 164)
Asymmetric unit:
Li1 0.3333 0.6667 0.0905
Li2 0.3333 0.6667 0.4055
Cu1 0.0000 0.0000 0.2446
P1 0.3333 0.6667 0.7484

## Properties
energy of formation from the pure elements	-0.54	eV per atom
E_tot	-0.1425	Ha/atom